Run P
Compound: LiVSnO4
Source: the Materials Project
Functional: PBE with a Hubbard U
Structure: relaxed

Structure (CIF):
```
data_LiVSnO4
_chemical_formula_sum 'Li2 V2 Sn2 O8'
_symmetry_space_group_name_H-M 'P 1'
_symmetry_Int_Tables_number 1
_cell_length_a 6.050
_cell_length_b 6.231
_cell_length_c 6.231
_cell_angle_alpha 88.79
_cell_angle_beta 60.96
_cell_angle_gamma 119.04
loop_
_symmetry_equiv_pos_as_xyz
'x,y,z'
loop_
_atom_site_label
_atom_site_fract_x
_atom_site_fract_y
_atom_site_fract_z
Li1 0.250 0.123 0.123
Li2 0.750 0.877 0.877
V1 0.000 0.500 0.500
V2 0.500 0.500 0.500
Sn1 0.500 0.000 0.500
Sn2 0.000 0.500 0.000
O1 0.517 0.260 0.260
O2 0.983 0.260 0.260
O3 0.017 0.740 0.740
O4 0.483 0.740 0.740
O5 0.531 0.267 0.705
O6 0.969 0.705 0.267
O7 0.469 0.733 0.295
O8 0.031 0.295 0.733
```

Run Q
Compound: LiVSnO4
Source: the Materials Project
Functional: PBE with a Hubbard U
Structure: relaxed

Structure (CIF):
```
data_LiVSnO4
_chemical_formula_sum 'Li4 V4 Sn4 O16'
_symmetry_space_group_name_H-M 'P 1'
_symmetry_Int_Tables_number 1
_cell_length_a 6.116
_cell_length_b 6.116
_cell_length_c 8.671
_cell_angle_alpha 90.00
_cell_angle_beta 90.00
_cell_angle_gamma 90.00
loop_
_symmetry_equiv_pos_as_xyz
'x,y,z'
loop_
_atom_site_label
_atom_site_fract_x
_atom_site_fract_y
_atom_site_fract_z
Li1 0.000 0.231 0.000
Li2 0.000 0.769 0.500
Li3 0.231 0.000 0.250
Li4 0.769 0.000 0.750
V1 0.240 0.500 0.250
V2 0.500 0.240 0.000
V3 0.500 0.760 0.500
V4 0.760 0.500 0.750
Sn1 0.254 0.254 0.625
Sn2 0.254 0.746 0.875
Sn3 0.746 0.254 0.375
Sn4 0.746 0.746 0.125
O1 0.018 0.262 0.251
O2 0.018 0.738 0.249
O3 0.262 0.018 0.999
O4 0.262 0.982 0.501
O5 0.263 0.482 0.011
O6 0.263 0.518 0.489
O7 0.482 0.263 0.239
O8 0.482 0.737 0.261
O9 0.518 0.263 0.761
O10 0.518 0.737 0.739
O11 0.737 0.518 0.511
O12 0.737 0.482 0.989
O13 0.738 0.018 0.001
O14 0.738 0.982 0.499
O15 0.982 0.262 0.749
O16 0.982 0.738 0.751
```

Which of them is the most stable, and which is the least stable? run P and run Q, in that order.

Run P
Compound: LiTiVO4
Source: the Materials Project
Functional: PBE with a Hubbard U
Structure: relaxed

Structure (CIF):
```
data_LiTiVO4
_chemical_formula_sum 'Li6 Ti6 V6 O24'
_symmetry_space_group_name_H-M 'P 1'
_symmetry_Int_Tables_number 1
_cell_length_a 7.883
_cell_length_b 7.950
_cell_length_c 8.123
_cell_angle_alpha 67.93
_cell_angle_beta 97.34
_cell_angle_gamma 85.94
loop_
_symmetry_equiv_pos_as_xyz
'x,y,z'
loop_
_atom_site_label
_atom_site_fract_x
_atom_site_fract_y
_atom_site_fract_z
Li1 0.755 0.008 0.239
Li2 0.255 0.008 0.739
Li3 0.501 0.331 0.169
Li4 0.001 0.331 0.670
Li5 0.742 0.660 0.595
Li6 0.242 0.659 0.096
Ti1 0.859 0.004 0.620
Ti2 0.359 0.004 0.120
Ti3 0.898 0.345 0.299
Ti4 0.398 0.345 0.799
Ti5 0.626 0.671 0.205
Ti6 0.126 0.672 0.704
V1 0.129 0.002 0.377
V2 0.611 0.326 0.531
V3 0.873 0.665 0.956
V4 0.629 0.002 0.877
V5 0.111 0.326 0.032
V6 0.373 0.665 0.456
O1 0.799 0.159 0.742
O2 0.299 0.159 0.242
O3 0.045 0.163 0.517
O4 0.545 0.163 0.017
O5 0.050 0.493 0.168
O6 0.550 0.493 0.667
O7 0.796 0.487 0.428
O8 0.296 0.487 0.928
O9 0.789 0.825 0.091
O10 0.289 0.825 0.591
O11 0.556 0.821 0.335
O12 0.056 0.821 0.835
O13 0.710 0.169 0.403
O14 0.210 0.169 0.903
O15 0.948 0.176 0.178
O16 0.448 0.176 0.678
O17 0.708 0.500 0.100
O18 0.208 0.501 0.600
O19 0.450 0.511 0.312
O20 0.951 0.511 0.812
O21 0.449 0.840 0.001
O22 0.949 0.840 0.501
O23 0.710 0.840 0.739
O24 0.210 0.840 0.239
```

Run Q
Compound: LiTiVO4
Source: the Materials Project
Functional: PBE with a Hubbard U
Structure: relaxed

Structure (CIF):
```
data_LiTiVO4
_chemical_formula_sum 'Li4 Ti4 V4 O16'
_symmetry_space_group_name_H-M 'P 1'
_symmetry_Int_Tables_number 1
_cell_length_a 5.995
_cell_length_b 6.030
_cell_length_c 10.315
_cell_angle_alpha 89.16
_cell_angle_beta 106.90
_cell_angle_gamma 119.81
loop_
_symmetry_equiv_pos_as_xyz
'x,y,z'
loop_
_atom_site_label
_atom_site_fract_x
_atom_site_fract_y
_atom_site_fract_z
Li1 0.372 0.683 0.561
Li2 0.372 0.182 0.061
Li3 0.628 0.817 0.939
Li4 0.628 0.318 0.439
Ti1 0.000 0.750 0.750
Ti2 0.000 0.250 0.250
Ti3 0.001 0.001 0.500
Ti4 0.999 0.499 0.000
V1 0.000 0.250 0.750
V2 0.500 0.250 0.750
V3 0.000 0.750 0.250
V4 0.500 0.750 0.250
O1 0.785 0.884 0.628
O2 0.785 0.383 0.128
O3 0.226 0.884 0.628
O4 0.226 0.383 0.128
O5 0.774 0.616 0.872
O6 0.774 0.117 0.372
O7 0.215 0.616 0.872
O8 0.215 0.117 0.372
O9 0.231 0.107 0.855
O10 0.231 0.607 0.355
O11 0.231 0.336 0.626
O12 0.231 0.835 0.126
O13 0.769 0.393 0.645
O14 0.769 0.893 0.145
O15 0.769 0.164 0.874
O16 0.769 0.665 0.374
```

Run R
Compound: LiTiVO4
Source: the Materials Project
Functional: PBE with a Hubbard U
Structure: relaxed

Structure (CIF):
```
data_LiTiVO4
_chemical_formula_sum 'Li4 Ti4 V4 O16'
_symmetry_space_group_name_H-M 'P 1'
_symmetry_Int_Tables_number 1
_cell_length_a 5.923
_cell_length_b 6.004
_cell_length_c 8.455
_cell_angle_alpha 90.00
_cell_angle_beta 90.00
_cell_angle_gamma 90.06
loop_
_symmetry_equiv_pos_as_xyz
'x,y,z'
loop_
_atom_site_label
_atom_site_fract_x
_atom_site_fract_y
_atom_site_fract_z
Li1 0.000 0.500 0.000
Li2 0.500 0.000 0.500
Li3 0.500 0.500 0.000
Li4 0.000 0.000 0.500
Ti1 0.500 0.000 0.000
Ti2 0.000 0.500 0.500
Ti3 0.000 0.000 0.000
Ti4 0.500 0.500 0.500
V1 0.250 0.750 0.750
V2 0.750 0.750 0.250
V3 0.750 0.250 0.250
V4 0.250 0.250 0.750
O1 0.974 0.500 0.266
O2 0.474 0.000 0.766
O3 0.526 0.500 0.266
O4 0.026 0.000 0.766
O5 0.474 0.500 0.734
O6 0.974 0.000 0.234
O7 0.026 0.500 0.734
O8 0.526 0.000 0.234
O9 0.750 0.775 0.005
O10 0.250 0.275 0.505
O11 0.750 0.225 0.005
O12 0.250 0.725 0.505
O13 0.250 0.775 0.995
O14 0.750 0.275 0.495
O15 0.250 0.225 0.995
O16 0.750 0.725 0.495
```

Which of them is the most stable, and which is the least stable? run Q and run R, in that order.

Run P
Compound: Li2TiV3O8
Source: the Materials Project
Functional: PBE with a Hubbard U
Structure: relaxed

Structure (CIF):
```
data_Li2TiV3O8
_chemical_formula_sum 'Li4 Ti2 V6 O16'
_symmetry_space_group_name_H-M 'P 1'
_symmetry_Int_Tables_number 1
_cell_length_a 5.934
_cell_length_b 6.028
_cell_length_c 8.585
_cell_angle_alpha 89.25
_cell_angle_beta 89.82
_cell_angle_gamma 90.70
loop_
_symmetry_equiv_pos_as_xyz
'x,y,z'
loop_
_atom_site_label
_atom_site_fract_x
_atom_site_fract_y
_atom_site_fract_z
Li1 0.749 0.749 0.750
Li2 0.250 0.250 0.249
Li3 0.251 0.751 0.749
Li4 0.750 0.248 0.251
Ti1 0.000 0.997 0.000
Ti2 0.499 0.499 0.500
V1 0.000 0.502 0.499
V2 0.251 0.750 0.250
V3 0.251 0.250 0.751
V4 0.501 0.003 0.000
V5 0.751 0.249 0.749
V6 0.751 0.749 0.251
O1 0.001 0.515 0.268
O2 0.499 0.015 0.768
O3 0.001 0.484 0.730
O4 0.500 0.984 0.231
O5 0.498 0.514 0.271
O6 0.997 0.013 0.771
O7 0.504 0.485 0.729
O8 0.002 0.986 0.230
O9 0.254 0.788 0.007
O10 0.756 0.288 0.506
O11 0.749 0.785 0.012
O12 0.250 0.284 0.511
O13 0.249 0.217 0.991
O14 0.749 0.717 0.490
O15 0.744 0.213 0.992
O16 0.244 0.713 0.492
```

Run Q
Compound: Li2TiV3O8
Source: the Materials Project
Functional: PBE with a Hubbard U
Structure: relaxed

Structure (CIF):
```
data_Li2TiV3O8
_chemical_formula_sum 'Li4 Ti2 V6 O16'
_symmetry_space_group_name_H-M 'P 1'
_symmetry_Int_Tables_number 1
_cell_length_a 6.037
_cell_length_b 8.352
_cell_length_c 6.047
_cell_angle_alpha 89.50
_cell_angle_beta 89.01
_cell_angle_gamma 90.57
loop_
_symmetry_equiv_pos_as_xyz
'x,y,z'
loop_
_atom_site_label
_atom_site_fract_x
_atom_site_fract_y
_atom_site_fract_z
Li1 0.254 0.126 0.007
Li2 0.754 0.626 0.508
Li3 0.746 0.874 0.992
Li4 0.246 0.374 0.493
Ti1 0.000 0.499 0.000
Ti2 0.499 0.001 0.500
V1 0.250 0.750 0.750
V2 0.750 0.250 0.750
V3 0.250 0.750 0.250
V4 0.499 0.500 0.001
V5 0.001 0.000 0.499
V6 0.750 0.250 0.250
O1 0.530 0.260 0.006
O2 0.030 0.760 0.508
O3 0.470 0.740 0.992
O4 0.970 0.240 0.494
O5 0.758 0.480 0.232
O6 0.259 0.981 0.731
O7 0.758 0.491 0.782
O8 0.258 0.992 0.281
O9 0.981 0.265 0.007
O10 0.477 0.763 0.504
O11 0.023 0.737 0.996
O12 0.519 0.235 0.493
O13 0.242 0.508 0.219
O14 0.742 0.009 0.718
O15 0.241 0.519 0.769
O16 0.742 0.020 0.268
```

Run R
Compound: Li2TiV3O8
Source: the Materials Project
Functional: PBE with a Hubbard U
Structure: relaxed

Structure (CIF):
```
data_Li2TiV3O8
_chemical_formula_sum 'Li4 Ti2 V6 O16'
_symmetry_space_group_name_H-M 'P 1'
_symmetry_Int_Tables_number 1
_cell_length_a 5.919
_cell_length_b 9.570
_cell_length_c 5.967
_cell_angle_alpha 90.02
_cell_angle_beta 119.90
_cell_angle_gamma 89.66
loop_
_symmetry_equiv_pos_as_xyz
'x,y,z'
loop_
_atom_site_label
_atom_site_fract_x
_atom_site_fract_y
_atom_site_fract_z
Li1 0.661 0.894 0.334
Li2 0.328 0.395 0.667
Li3 0.013 0.994 0.005
Li4 0.007 0.494 0.994
Ti1 0.681 0.496 0.342
Ti2 0.334 0.996 0.664
V1 0.828 0.212 0.170
V2 0.656 0.714 0.827
V3 0.174 0.711 0.342
V4 0.826 0.213 0.656
V5 0.177 0.723 0.829
V6 0.349 0.222 0.173
O1 0.838 0.594 0.169
O2 0.666 0.095 0.832
O3 0.515 0.342 0.038
O4 0.469 0.846 0.961
O5 0.637 0.101 0.318
O6 0.327 0.603 0.688
O7 0.018 0.307 0.008
O8 0.003 0.806 0.987
O9 0.341 0.598 0.173
O10 0.166 0.097 0.825
O11 0.957 0.342 0.477
O12 0.480 0.842 0.525
O13 0.513 0.343 0.475
O14 0.038 0.841 0.523
O15 0.166 0.094 0.338
O16 0.835 0.593 0.659
```

Run S
Compound: Li2TiV3O8
Source: the Materials Project
Functional: PBE with a Hubbard U
Structure: relaxed

Structure (CIF):
```
data_Li2TiV3O8
_chemical_formula_sum 'Li8 Ti4 V12 O32'
_symmetry_space_group_name_H-M 'P 1'
_symmetry_Int_Tables_number 1
_cell_length_a 8.356
_cell_length_b 8.351
_cell_length_c 8.359
_cell_angle_alpha 90.01
_cell_angle_beta 89.96
_cell_angle_gamma 89.98
loop_
_symmetry_equiv_pos_as_xyz
'x,y,z'
loop_
_atom_site_label
_atom_site_fract_x
_atom_site_fract_y
_atom_site_fract_z
Li1 0.999 0.000 0.001
Li2 0.246 0.249 0.247
Li3 0.254 0.751 0.747
Li4 0.501 0.999 0.501
Li5 0.499 0.500 0.999
Li6 0.746 0.251 0.753
Li7 0.754 0.749 0.253
Li8 0.001 0.500 0.499
Ti1 0.129 0.870 0.371
Ti2 0.371 0.129 0.871
Ti3 0.629 0.629 0.629
Ti4 0.871 0.371 0.129
V1 0.118 0.125 0.621
V2 0.120 0.382 0.874
V3 0.126 0.621 0.117
V4 0.375 0.379 0.617
V5 0.380 0.618 0.374
V6 0.382 0.875 0.121
V7 0.618 0.375 0.379
V8 0.620 0.118 0.126
V9 0.626 0.879 0.883
V10 0.874 0.121 0.383
V11 0.880 0.882 0.626
V12 0.882 0.625 0.879
O1 0.113 0.112 0.386
O2 0.115 0.887 0.613
O3 0.120 0.619 0.880
O4 0.136 0.139 0.863
O5 0.112 0.385 0.112
O6 0.137 0.363 0.636
O7 0.137 0.636 0.360
O8 0.139 0.863 0.136
O9 0.361 0.137 0.636
O10 0.363 0.364 0.860
O11 0.363 0.637 0.136
O12 0.388 0.615 0.612
O13 0.364 0.861 0.363
O14 0.381 0.381 0.380
O15 0.385 0.113 0.113
O16 0.387 0.888 0.886
O17 0.613 0.388 0.614
O18 0.615 0.613 0.387
O19 0.619 0.881 0.120
O20 0.636 0.361 0.137
O21 0.612 0.115 0.888
O22 0.637 0.137 0.364
O23 0.638 0.864 0.640
O24 0.639 0.637 0.864
O25 0.861 0.363 0.364
O26 0.862 0.136 0.140
O27 0.863 0.863 0.864
O28 0.888 0.885 0.388
O29 0.864 0.639 0.637
O30 0.881 0.119 0.620
O31 0.885 0.387 0.887
O32 0.887 0.612 0.115
```

Which of them is the most stable, and which is the least stable? run Q and run P, in that order.